1.
The following is a DFT calculation (PBE-GGA) of a relaxed Na5HfAl3Si3S3O24 crystal.

Geometry as POSCAR:
```
Na5HfAl3Si3S3O24
1.0
8.7460 0.0000 0.0000
4.3295 7.6062 0.0000
0.1972 0.2005 22.0785
Na Hf Al Si S O
15 3 9 9 9 72
direct
0.0000 0.0000 0.0000
0.0009 0.0137 0.4995
0.3015 0.0510 0.5819
0.3100 0.6696 0.0850
0.3230 0.3567 0.1667
0.3235 0.3453 0.6683
0.3558 0.9671 0.9105
0.3573 0.7024 0.4103
0.6366 0.3821 0.2453
0.6601 0.6931 0.3290
0.6668 0.6914 0.8302
0.6802 0.3120 0.5764
0.6874 0.0350 0.0768
0.6966 0.3445 0.9193
0.9778 0.3358 0.4208
0.0180 0.0066 0.3505
0.0217 0.9898 0.8476
0.3439 0.3523 0.0199
0.0100 0.9905 0.1415
0.0172 0.0290 0.6497
0.3323 0.3343 0.5140
0.3575 0.3411 0.3137
0.3633 0.3174 0.8135
0.6712 0.6656 0.1800
0.6736 0.6644 0.4765
0.6845 0.6753 0.6843
0.6880 0.6700 0.9783
0.3071 0.7102 0.2440
0.3196 0.0079 0.7439
0.3510 0.6253 0.9101
0.3610 0.0512 0.4150
0.6247 0.3407 0.4178
0.6364 0.0396 0.9150
0.6960 0.3806 0.0824
0.9525 0.6737 0.0839
0.9637 0.3960 0.5814
0.0106 0.7141 0.7421
0.0149 0.3025 0.2448
0.0528 0.3482 0.9114
0.0551 0.6233 0.4155
0.3834 0.6744 0.5817
0.3860 0.9580 0.0825
0.6835 0.9564 0.5811
0.7154 0.3040 0.7445
0.7157 0.0035 0.2457
0.0274 0.1903 0.9054
0.0310 0.8113 0.6899
0.0374 0.1885 0.1935
0.0374 0.8016 0.4100
0.1318 0.5172 0.3606
0.1365 0.3726 0.8577
0.1523 0.5014 0.0805
0.1611 0.3073 0.9667
0.1669 0.3620 0.5733
0.1683 0.5439 0.7497
0.1678 0.5464 0.4693
0.1726 0.3177 0.2535
0.1791 0.8153 0.1871
0.1829 0.0231 0.4092
0.1826 0.8276 0.9090
0.1899 0.0359 0.6861
0.2054 0.8330 0.5879
0.2084 0.9781 0.0894
0.2214 0.8236 0.3067
0.2282 0.9738 0.8048
0.3047 0.1738 0.4751
0.3082 0.5551 0.9737
0.3247 0.1909 0.7541
0.3289 0.5113 0.2540
0.3689 0.1347 0.0775
0.3687 0.5138 0.5752
0.3697 0.1547 0.3549
0.3758 0.4962 0.8541
0.4593 0.8537 0.0267
0.4596 0.7117 0.5257
0.4986 0.6439 0.6341
0.4993 0.8775 0.1358
0.5052 0.1328 0.8583
0.5061 0.6880 0.2386
0.5072 0.3819 0.3565
0.5101 0.8286 0.7339
0.5177 0.3536 0.0788
0.5239 0.1380 0.5766
0.5266 0.3233 0.4785
0.5267 0.6437 0.9193
0.5267 0.8520 0.4255
0.5405 0.3197 0.7499
0.5412 0.1667 0.2518
0.5515 0.1600 0.9758
0.6401 0.5070 0.1411
0.6468 0.8774 0.6350
0.6524 0.8481 0.9227
0.6536 0.5144 0.4226
0.6957 0.8480 0.2400
0.7009 0.4785 0.7369
0.7072 0.8525 0.5265
0.7101 0.4730 0.0196
0.7981 0.0392 0.1919
0.8024 0.1872 0.6909
0.8224 0.0407 0.9069
0.8226 0.2240 0.7997
0.8244 0.1698 0.4112
0.8242 0.9789 0.3005
0.8307 0.7156 0.0241
0.8396 0.4799 0.5208
0.8399 0.9803 0.5889
0.8512 0.6958 0.7371
0.8530 0.4767 0.2411
0.8546 0.6582 0.1436
0.8606 0.5161 0.6388
0.8625 0.1820 0.0929
0.8756 0.5031 0.9178
0.8778 0.6441 0.4227
0.9756 0.8223 0.7986
0.9777 0.2250 0.3020
0.9826 0.1923 0.5887
0.9868 0.8451 0.0881
```

## Properties
- space group = P1 (1)
- formation energy (eV/atom) = -2.693
- spin magnetization (μB per formula unit) = 0.00

=====

2.
The following is a DFT calculation (PBE-GGA) of a relaxed Cr11Ge19 crystal.

Geometry as POSCAR:
```
Cr11Ge19
1.0
5.8029 0.0000 0.0000
0.0000 5.8029 0.0000
0.0000 0.0000 52.3711
Cr Ge
44 76
direct
0.0000 0.0000 0.0000
0.0000 0.0000 0.0905
0.0000 0.0000 0.1825
0.0000 0.0000 0.2717
0.0000 0.0000 0.3649
0.0000 0.0000 0.4531
0.0000 0.0000 0.5469
0.0000 0.0000 0.6351
0.0000 0.0000 0.7283
0.0000 0.0000 0.8175
0.0000 0.0000 0.9095
0.0000 0.5000 0.0689
0.0000 0.5000 0.1587
0.0000 0.5000 0.2500
0.0000 0.5000 0.3413
0.0000 0.5000 0.4311
0.0000 0.5000 0.5238
0.0000 0.5000 0.6123
0.0000 0.5000 0.7060
0.0000 0.5000 0.7940
0.0000 0.5000 0.8877
0.0000 0.5000 0.9762
0.5000 0.0000 0.0238
0.5000 0.0000 0.1123
0.5000 0.0000 0.2060
0.5000 0.0000 0.2940
0.5000 0.0000 0.3877
0.5000 0.0000 0.4762
0.5000 0.0000 0.5689
0.5000 0.0000 0.6587
0.5000 0.0000 0.7500
0.5000 0.0000 0.8413
0.5000 0.0000 0.9311
0.5000 0.5000 0.0469
0.5000 0.5000 0.1351
0.5000 0.5000 0.2283
0.5000 0.5000 0.3175
0.5000 0.5000 0.4095
0.5000 0.5000 0.5000
0.5000 0.5000 0.5905
0.5000 0.5000 0.6825
0.5000 0.5000 0.7717
0.5000 0.5000 0.8649
0.5000 0.5000 0.9531
0.1584 0.2248 0.8556
0.1582 0.2651 0.4866
0.1577 0.7555 0.6712
0.1593 0.7154 0.3023
0.1596 0.7936 0.0398
0.1606 0.3021 0.1181
0.1619 0.1899 0.2240
0.1640 0.6826 0.9340
0.1668 0.8237 0.4080
0.1710 0.3290 0.7500
0.1763 0.1668 0.5920
0.1826 0.6640 0.5660
0.1899 0.8381 0.7760
0.1979 0.3394 0.3819
0.2064 0.1596 0.9602
0.2154 0.6593 0.1977
0.2248 0.8416 0.1444
0.2349 0.3418 0.0134
0.2445 0.1577 0.3288
0.2555 0.6577 0.8288
0.2651 0.8418 0.5134
0.2752 0.3416 0.6444
0.2846 0.1593 0.6977
0.2936 0.6596 0.4602
0.3021 0.8394 0.8819
0.3101 0.3381 0.2760
0.3174 0.1640 0.0660
0.3237 0.6668 0.0920
0.3290 0.8290 0.2500
0.3332 0.3237 0.9080
0.3360 0.1826 0.4340
0.3381 0.6899 0.7240
0.3394 0.8021 0.6181
0.3404 0.2936 0.5398
0.3407 0.2154 0.8023
0.3423 0.2555 0.1712
0.3416 0.7248 0.3556
0.3418 0.7651 0.9866
0.6582 0.2349 0.9866
0.6584 0.2752 0.3556
0.6577 0.7445 0.1712
0.6593 0.7846 0.8023
0.6596 0.7064 0.5398
0.6606 0.1979 0.6181
0.6619 0.3101 0.7240
0.6640 0.8174 0.4340
0.6668 0.6763 0.9080
0.6710 0.1710 0.2500
0.6763 0.3332 0.0920
0.6826 0.8360 0.0660
0.6899 0.6619 0.2760
0.6979 0.1606 0.8819
0.7064 0.3404 0.4602
0.7154 0.8407 0.6977
0.7248 0.6584 0.6444
0.7349 0.1582 0.5134
0.7445 0.3423 0.8288
0.7555 0.8423 0.3288
0.7651 0.6582 0.0134
0.7752 0.1584 0.1444
0.7846 0.3407 0.1977
0.7936 0.8404 0.9602
0.8021 0.6606 0.3819
0.8101 0.1619 0.7760
0.8174 0.3360 0.5660
0.8237 0.8332 0.5920
0.8290 0.6710 0.7500
0.8332 0.1763 0.4080
0.8360 0.3174 0.9340
0.8381 0.8101 0.2240
0.8394 0.6979 0.1181
0.8404 0.2064 0.0398
0.8407 0.2846 0.3023
0.8423 0.2445 0.6712
0.8418 0.7349 0.4866
0.8416 0.7752 0.8556
```

## Properties
- space group = P-4n2 (118)
- formation energy (eV/atom) = -0.011
- spin magnetization (μB per formula unit) = 11.04

=====

3.
The following is a DFT calculation (PBE-GGA) of a relaxed Na6MgO4 crystal.

Geometry as POSCAR:
```
Na6MgO4
1.0
7.4960 0.0000 0.0000
0.0000 7.4960 0.0000
0.0000 0.0000 5.5085
Na Mg O
12 2 8
direct
0.0373 0.5373 0.2500
0.0373 0.9627 0.2500
0.2500 0.2500 0.1714
0.2500 0.2500 0.6714
0.4627 0.5373 0.2500
0.4627 0.9627 0.2500
0.5373 0.0373 0.7500
0.5373 0.4627 0.7500
0.7500 0.7500 0.3286
0.7500 0.7500 0.8286
0.9627 0.0373 0.7500
0.9627 0.4627 0.7500
0.2500 0.7500 0.7500
0.7500 0.2500 0.2500
0.0090 0.7500 0.5656
0.2500 0.5090 0.9344
0.2500 0.9910 0.9344
0.4910 0.7500 0.5656
0.5090 0.2500 0.4344
0.7500 0.0090 0.0656
0.7500 0.4910 0.0656
0.9910 0.2500 0.4344
```

## Properties
- space group = P4_2/nmc (137)
- formation energy (eV/atom) = -1.713

=====

4.
The following is a DFT calculation (PBE-GGA) of a relaxed BaMg14Cu crystal.

Geometry as POSCAR:
```
BaMg14Cu
1.0
10.4383 0.0000 0.0000
0.0000 3.1360 5.9380
0.0000 -3.1360 5.9380
Ba Mg Cu
1 14 1
direct
0.0000 0.0000 0.0000
0.0000 0.0081 0.4922
0.0000 0.4922 0.0081
0.2162 0.6173 0.6173
0.2596 0.1319 0.6239
0.2596 0.6239 0.1319
0.2725 0.1424 0.1424
0.5000 0.4750 0.4750
0.5000 0.4787 0.9644
0.5000 0.9644 0.4787
0.5000 0.9697 0.9697
0.7275 0.1424 0.1424
0.7404 0.1319 0.6239
0.7404 0.6239 0.1319
0.7838 0.6173 0.6173
0.0000 0.4464 0.4464
```

## Properties
- space group = Amm2 (38)
- formation energy (eV/atom) = 0.079
- spin magnetization (μB per formula unit) = 0.00

=====

5.
The following is a DFT calculation (PBE-GGA) of a relaxed Mn3Ge crystal.

Geometry as POSCAR:
```
Mn3Ge
1.0
0.0000 2.8819 2.8819
2.8819 0.0000 2.8819
2.8819 2.8819 0.0000
Mn Ge
3 1
direct
0.0000 0.0000 0.0000
0.2500 0.2500 0.2500
0.7500 0.7500 0.7500
0.5000 0.5000 0.5000
```

## Properties
- space group = Fm-3m (225)
- formation energy (eV/atom) = -0.075

=====

6.
The following is a DFT calculation (PBE-GGA) of a relaxed Sm2Re3Si5 crystal.

Geometry as POSCAR:
```
Sm2Re3Si5
1.0
11.0234 0.0000 0.0000
0.0000 11.0234 0.0000
0.0000 0.0000 5.6779
Sm Re Si
8 12 20
direct
0.0761 0.2379 0.0000
0.2379 0.9239 0.0000
0.2621 0.4239 0.5000
0.4239 0.7379 0.5000
0.5761 0.2621 0.5000
0.7379 0.5761 0.5000
0.7621 0.0761 0.0000
0.9239 0.7621 0.0000
0.0000 0.5000 0.2500
0.0000 0.5000 0.7500
0.1250 0.8529 0.5000
0.1471 0.1250 0.5000
0.3529 0.6250 0.0000
0.3750 0.3529 0.0000
0.5000 0.0000 0.2500
0.5000 0.0000 0.7500
0.6250 0.6471 0.0000
0.6471 0.3750 0.0000
0.8529 0.8750 0.5000
0.8750 0.1471 0.5000
0.0000 0.0000 0.2544
0.0000 0.0000 0.7456
0.0241 0.3160 0.5000
0.1730 0.6730 0.2500
0.1730 0.6730 0.7500
0.1840 0.4759 0.0000
0.3160 0.9759 0.5000
0.3270 0.1730 0.2500
0.3270 0.1730 0.7500
0.4759 0.8160 0.0000
0.5000 0.5000 0.2456
0.5000 0.5000 0.7544
0.5241 0.1840 0.0000
0.6730 0.8270 0.2500
0.6730 0.8270 0.7500
0.6840 0.0241 0.5000
0.8160 0.5241 0.0000
0.8270 0.3270 0.2500
0.8270 0.3270 0.7500
0.9759 0.6840 0.5000
```

## Properties
- space group = P4/mnc (128)
- formation energy (eV/atom) = -0.545

=====

7.
The following is a DFT calculation (PBE-GGA) of a relaxed AlPO4 crystal.

Geometry as POSCAR:
```
AlPO4
1.0
6.1967 0.0000 0.0000
0.0000 14.5044 0.0000
-2.1903 0.0000 8.4054
Al P O
12 12 48
direct
0.0470 0.1029 0.0642
0.0470 0.3971 0.5642
0.2956 0.0927 0.6200
0.2956 0.4073 0.1200
0.3436 0.6985 0.6496
0.3436 0.8015 0.1496
0.6564 0.1985 0.8504
0.6564 0.3015 0.3504
0.7044 0.5927 0.8800
0.7044 0.9073 0.3800
0.9530 0.6029 0.4358
0.9530 0.8971 0.9358
0.1668 0.5471 0.8251
0.1668 0.9529 0.3251
0.1806 0.2478 0.3593
0.1806 0.2522 0.8593
0.4135 0.6032 0.3292
0.4135 0.8968 0.8292
0.5865 0.1032 0.1708
0.5865 0.3968 0.6708
0.8194 0.7478 0.1407
0.8194 0.7522 0.6407
0.8332 0.0471 0.6749
0.8332 0.4529 0.1749
0.0052 0.6032 0.8929
0.0052 0.8968 0.3929
0.0165 0.6948 0.5975
0.0165 0.8052 0.0975
0.0489 0.5148 0.6493
0.0489 0.9852 0.1493
0.0729 0.1836 0.2265
0.0729 0.3164 0.7265
0.2732 0.0321 0.4294
0.2732 0.4679 0.9294
0.2812 0.6241 0.4647
0.2812 0.8759 0.9647
0.3149 0.2019 0.5092
0.3149 0.2981 0.0092
0.3274 0.5143 0.2439
0.3274 0.9857 0.7439
0.3434 0.0961 0.0806
0.3434 0.4039 0.5806
0.3440 0.1816 0.8085
0.3440 0.3184 0.3085
0.3650 0.6849 0.2120
0.3650 0.8151 0.7120
0.3655 0.6120 0.8063
0.3655 0.8880 0.3063
0.6345 0.1120 0.6937
0.6345 0.3880 0.1937
0.6350 0.1849 0.2880
0.6350 0.3151 0.7880
0.6560 0.6816 0.6915
0.6560 0.8184 0.1915
0.6566 0.5961 0.4194
0.6566 0.9039 0.9194
0.6726 0.0143 0.2561
0.6726 0.4857 0.7561
0.6851 0.7019 0.9908
0.6851 0.7981 0.4908
0.7188 0.1241 0.0353
0.7188 0.3759 0.5353
0.7268 0.5321 0.0706
0.7268 0.9679 0.5706
0.9271 0.6836 0.2735
0.9271 0.8164 0.7735
0.9511 0.0148 0.8507
0.9511 0.4852 0.3507
0.9835 0.1948 0.9025
0.9835 0.3052 0.4025
0.9948 0.1032 0.6071
0.9948 0.3968 0.1071
```

## Properties
- space group = P2_1/c (14)
- formation energy (eV/atom) = -3.036
- spin magnetization (μB per formula unit) = 0.00